No. 1
Here is Er2Re3Si5 after structural relaxation from the Materials Project. Energies are from PBE.

Structure (extended XYZ):
```
40
Lattice="10.986 0.000 0.000 0.000 10.986 0.000 0.000 0.000 5.526" Properties=species:S:1:pos:R:3 pbc="T T T"
Si 8.950 5.189 0.000
Si 2.036 5.797 0.000
Si 3.457 0.304 2.763
Si 5.493 5.493 1.418
Si 3.590 9.083 4.145
Si 9.083 7.396 1.382
Si 1.903 3.590 4.145
Si 7.396 1.903 1.382
Si 7.396 1.903 4.145
Si 0.000 0.000 4.181
Si 5.797 8.950 0.000
Si 0.304 7.530 2.763
Si 3.590 9.083 1.382
Si 1.903 3.590 1.382
Si 0.000 0.000 1.345
Si 7.530 10.683 2.763
Si 10.683 3.457 2.763
Si 5.189 2.036 0.000
Si 5.493 5.493 4.108
Si 9.083 7.396 4.145
Re 5.493 0.000 4.145
Re 6.859 3.880 0.000
Re 0.000 5.493 4.145
Re 4.127 7.106 0.000
Re 9.373 1.366 2.763
Re 5.493 0.000 1.382
Re 1.613 9.620 2.763
Re 0.000 5.493 1.382
Re 7.106 6.859 0.000
Re 9.620 9.373 2.763
Re 1.366 1.613 2.763
Re 3.880 4.127 0.000
Er 6.344 8.104 2.763
Er 0.851 8.375 0.000
Er 8.375 10.136 0.000
Er 4.643 2.882 2.763
Er 2.882 6.344 2.763
Er 10.136 2.611 0.000
Er 8.104 4.643 2.763
Er 2.611 0.851 0.000
```

Final energy: -7.947 eV/atom
Calculated density: 10.29 g/cm3

=====

No. 2
Here is Er5Rh3 after structural relaxation from the Materials Project. Energies are from PBE.

Structure (extended XYZ):
```
16
Lattice="2.004 7.813 -1.393 -3.680 -2.094 7.005 5.589 -0.961 2.649" Properties=species:S:1:pos:R:3 pbc="T T T"
Rh 0.728 2.044 2.903
Rh 2.722 -1.557 4.784
Rh 3.185 2.713 5.357
Rh -0.813 -1.498 4.869
Rh 2.601 4.452 -0.175
Rh 4.992 2.399 1.430
Er 2.904 4.030 2.730
Er 1.009 0.727 5.530
Er 3.776 0.696 3.377
Er 1.894 1.696 0.317
Er 1.423 -2.296 7.256
Er 0.136 4.061 4.883
Er 0.109 4.510 1.406
Er 0.485 -0.759 2.398
Er 5.699 5.156 0.939
Er -1.785 1.208 4.205
```

Final energy: -6.374 eV/atom
Calculated density: 10.47 g/cm3

=====

No. 3
Here is Er7Rh3 after structural relaxation from the Materials Project. Energies are from PBE.

Structure (extended XYZ):
```
20
Lattice="5.394 6.178 -5.234 -8.785 -2.697 -3.195 -2.524 4.714 2.962" Properties=species:S:1:pos:R:3 pbc="T T T"
Rh 2.552 4.783 -4.667
Rh -3.724 2.793 -0.542
Rh -7.513 1.630 -1.920
Rh -1.236 3.620 -6.045
Rh 0.226 2.118 -2.410
Rh -5.187 4.294 -4.177
Er -6.150 6.974 -3.791
Er 0.180 6.877 -0.740
Er -1.001 3.528 -0.227
Er -0.052 4.563 -3.710
Er -9.540 3.091 -0.501
Er -3.033 2.771 -3.251
Er -1.093 8.184 -3.904
Er -5.059 0.451 -1.286
Er 2.390 7.411 -3.516
Er -6.041 3.962 -1.549
Er -3.132 5.716 -5.524
Er -3.118 5.865 -1.939
Er -6.331 1.758 -4.450
Er -4.019 4.786 1.507
```

Final energy: -6.054 eV/atom
Calculated density: 9.80 g/cm3

=====

| no. | E_form (eV/atom) |
| --- | --- |
| 1 | -0.55 |
| 2 | -0.76 |
| 3 | -0.65 |